Compound: Sm2MgNb2O8
Source: the Materials Project database
Functional: PBE
Structure: relaxed

Energy above the lowest structure with this stoichiometry, meV per atom: 96.0
Space group: C2 (5)
Energy relative to the elements, eV/atom: -3.0613
Calculated total energy, eV per atom: -8.086

Cell: 6.931 6.931 5.406 Å, 112.66 112.66 112.13°
Sites, in units of the cell vectors:
Sm (0.000, 0.000, 0.000)
Sm (0.743, 0.257, 0.500)
Mg (0.298, 0.702, 0.000)
Nb (0.280, 0.720, 0.500)
Nb (0.530, 0.470, 0.000)
O (0.019, 0.662, 0.609)
O (0.076, 0.402, 0.033)
O (0.205, 0.374, 0.593)
O (0.338, 0.981, 0.391)
O (0.408, 0.225, 0.088)
O (0.598, 0.924, 0.967)
O (0.626, 0.795, 0.407)
O (0.775, 0.592, 0.912)

***

Compound: Sm2MgNb2O8
Source: the Materials Project database
Functional: PBE
Structure: relaxed

Energy above the lowest structure with this stoichiometry, meV per atom: 0.0
Space group: C2 (5)
Energy relative to the elements, eV/atom: -3.1572
Calculated total energy, eV per atom: -8.182

Cell: 7.973 7.973 5.313 Å, 105.52 105.52 129.40°
Sites, in units of the cell vectors:
Sm (0.000, 0.000, 0.000)
Sm (0.681, 0.319, 0.500)
Mg (0.351, 0.649, 0.500)
Nb (0.154, 0.846, 0.500)
Nb (0.510, 0.490, 0.000)
O (0.038, 0.527, 0.481)
O (0.255, 0.412, 0.099)
O (0.312, 0.209, 0.526)
O (0.359, 0.121, 0.976)
O (0.473, 0.962, 0.519)
O (0.588, 0.745, 0.901)
O (0.791, 0.688, 0.474)
O (0.879, 0.641, 0.024)

***

Compound: Mg14NbSnO16
Source: the Materials Project database
Functional: PBE
Structure: relaxed

Energy above the lowest structure with this stoichiometry, meV per atom: 10.1
Space group: Pmmm (47)
Energy relative to the elements, eV/atom: -2.7012
Calculated total energy, eV per atom: -5.973

Cell: 4.398 8.725 8.816 Å, 90.00 90.00 90.00°
Sites, in units of the cell vectors:
Mg (0.000, 0.000, 0.000)
Mg (0.000, 0.000, 0.500)
Mg (0.000, 0.242, 0.248)
Mg (0.000, 0.242, 0.752)
Mg (0.000, 0.758, 0.248)
Mg (0.000, 0.758, 0.752)
Mg (0.500, 0.000, 0.249)
Mg (0.500, 0.000, 0.751)
Mg (0.500, 0.240, 0.500)
Mg (0.500, 0.244, 0.000)
Mg (0.500, 0.500, 0.247)
Mg (0.500, 0.500, 0.753)
Mg (0.500, 0.756, 0.000)
Mg (0.500, 0.760, 0.500)
Nb (0.000, 0.500, 0.000)
Sn (0.000, 0.500, 0.500)
O (0.000, 0.000, 0.247)
O (0.000, 0.000, 0.753)
O (0.000, 0.227, 0.500)
O (0.000, 0.237, 0.000)
O (0.000, 0.500, 0.243)
O (0.000, 0.500, 0.757)
O (0.000, 0.763, 0.000)
O (0.000, 0.773, 0.500)
O (0.500, 0.000, 0.000)
O (0.500, 0.000, 0.500)
O (0.500, 0.250, 0.250)
O (0.500, 0.250, 0.750)
O (0.500, 0.500, 0.000)
O (0.500, 0.500, 0.500)
O (0.500, 0.750, 0.250)
O (0.500, 0.750, 0.750)

***

Compound: Mg14NbSnO16
Source: the Materials Project database
Functional: PBE
Structure: relaxed

Energy above the lowest structure with this stoichiometry, meV per atom: 0.0
Space group: P4/mmm (123)
Energy relative to the elements, eV/atom: -2.7113
Calculated total energy, eV per atom: -5.983

Cell: 8.732 8.732 4.410 Å, 90.00 90.00 90.00°
Sites, in units of the cell vectors:
Mg (0.000, 0.253, 0.000)
Mg (0.000, 0.500, 0.500)
Mg (0.000, 0.747, 0.000)
Mg (0.242, 0.500, 0.000)
Mg (0.248, 0.248, 0.500)
Mg (0.248, 0.752, 0.500)
Mg (0.253, 0.000, 0.000)
Mg (0.500, 0.000, 0.500)
Mg (0.500, 0.242, 0.000)
Mg (0.500, 0.758, 0.000)
Mg (0.747, 0.000, 0.000)
Mg (0.752, 0.248, 0.500)
Mg (0.752, 0.752, 0.500)
Mg (0.758, 0.500, 0.000)
Nb (0.000, 0.000, 0.500)
Sn (0.500, 0.500, 0.500)
O (0.000, 0.000, 0.000)
O (0.000, 0.259, 0.500)
O (0.000, 0.500, 0.000)
O (0.000, 0.741, 0.500)
O (0.229, 0.500, 0.500)
O (0.250, 0.250, 0.000)
O (0.250, 0.750, 0.000)
O (0.259, 0.000, 0.500)
O (0.500, 0.000, 0.000)
O (0.500, 0.229, 0.500)
O (0.500, 0.500, 0.000)
O (0.500, 0.771, 0.500)
O (0.741, 0.000, 0.500)
O (0.750, 0.250, 0.000)
O (0.750, 0.750, 0.000)
O (0.771, 0.500, 0.500)

***

Compound: Mg30NbSnO32
Source: the Materials Project database
Functional: PBE
Structure: relaxed

Energy above the lowest structure with this stoichiometry, meV per atom: 0.0
Space group: P4/mmm (123)
Energy relative to the elements, eV/atom: -2.8861
Calculated total energy, eV per atom: -5.987

Cell: 8.632 8.632 8.626 Å, 90.00 90.00 90.00°
Sites, in units of the cell vectors:
Mg (0.000, 0.000, 0.000)
Mg (0.000, 0.252, 0.248)
Mg (0.000, 0.252, 0.752)
Mg (0.000, 0.500, 0.000)
Mg (0.000, 0.500, 0.500)
Mg (0.000, 0.748, 0.248)
Mg (0.000, 0.748, 0.752)
Mg (0.246, 0.500, 0.246)
Mg (0.246, 0.500, 0.754)
Mg (0.248, 0.248, 0.500)
Mg (0.248, 0.752, 0.500)
Mg (0.250, 0.250, 0.000)
Mg (0.250, 0.750, 0.000)
Mg (0.252, 0.000, 0.248)
Mg (0.252, 0.000, 0.752)
Mg (0.500, 0.000, 0.000)
Mg (0.500, 0.000, 0.500)
Mg (0.500, 0.246, 0.246)
Mg (0.500, 0.246, 0.754)
Mg (0.500, 0.500, 0.000)
Mg (0.500, 0.754, 0.246)
Mg (0.500, 0.754, 0.754)
Mg (0.748, 0.000, 0.248)
Mg (0.748, 0.000, 0.752)
Mg (0.750, 0.250, 0.000)
Mg (0.750, 0.750, 0.000)
Mg (0.752, 0.248, 0.500)
Mg (0.752, 0.752, 0.500)
Mg (0.754, 0.500, 0.246)
Mg (0.754, 0.500, 0.754)
Nb (0.000, 0.000, 0.500)
Sn (0.500, 0.500, 0.500)
O (0.000, 0.000, 0.238)
O (0.000, 0.000, 0.762)
O (0.000, 0.251, 0.000)
O (0.000, 0.260, 0.500)
O (0.000, 0.500, 0.246)
O (0.000, 0.500, 0.754)
O (0.000, 0.740, 0.500)
O (0.000, 0.749, 0.000)
O (0.231, 0.500, 0.500)
O (0.247, 0.500, 0.000)
O (0.250, 0.250, 0.251)
O (0.250, 0.250, 0.749)
O (0.250, 0.750, 0.251)
O (0.250, 0.750, 0.749)
O (0.251, 0.000, 0.000)
O (0.260, 0.000, 0.500)
O (0.500, 0.000, 0.246)
O (0.500, 0.000, 0.754)
O (0.500, 0.231, 0.500)
O (0.500, 0.247, 0.000)
O (0.500, 0.500, 0.230)
O (0.500, 0.500, 0.770)
O (0.500, 0.753, 0.000)
O (0.500, 0.769, 0.500)
O (0.740, 0.000, 0.500)
O (0.749, 0.000, 0.000)
O (0.750, 0.250, 0.251)
O (0.750, 0.250, 0.749)
O (0.750, 0.750, 0.251)
O (0.750, 0.750, 0.749)
O (0.753, 0.500, 0.000)
O (0.769, 0.500, 0.500)

***

Compound: Mg30NbSnO32
Source: the Materials Project database
Functional: PBE
Structure: relaxed

Energy above the lowest structure with this stoichiometry, meV per atom: 5.5
Space group: P4/mmm (123)
Energy relative to the elements, eV/atom: -2.8806
Calculated total energy, eV per atom: -5.982

Cell: 8.619 8.619 8.678 Å, 90.00 90.00 90.00°
Sites, in units of the cell vectors:
Mg (0.000, 0.000, 0.000)
Mg (0.000, 0.000, 0.500)
Mg (0.000, 0.250, 0.250)
Mg (0.000, 0.250, 0.750)
Mg (0.000, 0.500, 0.000)
Mg (0.000, 0.500, 0.500)
Mg (0.000, 0.750, 0.250)
Mg (0.000, 0.750, 0.750)
Mg (0.244, 0.500, 0.248)
Mg (0.244, 0.500, 0.752)
Mg (0.246, 0.246, 0.500)
Mg (0.246, 0.754, 0.500)
Mg (0.248, 0.248, 0.000)
Mg (0.248, 0.752, 0.000)
Mg (0.250, 0.000, 0.250)
Mg (0.250, 0.000, 0.750)
Mg (0.500, 0.000, 0.000)
Mg (0.500, 0.000, 0.500)
Mg (0.500, 0.244, 0.248)
Mg (0.500, 0.244, 0.752)
Mg (0.500, 0.756, 0.248)
Mg (0.500, 0.756, 0.752)
Mg (0.750, 0.000, 0.250)
Mg (0.750, 0.000, 0.750)
Mg (0.752, 0.248, 0.000)
Mg (0.752, 0.752, 0.000)
Mg (0.754, 0.246, 0.500)
Mg (0.754, 0.754, 0.500)
Mg (0.756, 0.500, 0.248)
Mg (0.756, 0.500, 0.752)
Nb (0.500, 0.500, 0.000)
Sn (0.500, 0.500, 0.500)
O (0.000, 0.000, 0.250)
O (0.000, 0.000, 0.750)
O (0.000, 0.247, 0.500)
O (0.000, 0.248, 0.000)
O (0.000, 0.500, 0.248)
O (0.000, 0.500, 0.752)
O (0.000, 0.752, 0.000)
O (0.000, 0.753, 0.500)
O (0.229, 0.500, 0.500)
O (0.237, 0.500, 0.000)
O (0.247, 0.000, 0.500)
O (0.248, 0.000, 0.000)
O (0.251, 0.251, 0.250)
O (0.251, 0.251, 0.750)
O (0.251, 0.749, 0.250)
O (0.251, 0.749, 0.750)
O (0.500, 0.000, 0.248)
O (0.500, 0.000, 0.752)
O (0.500, 0.229, 0.500)
O (0.500, 0.237, 0.000)
O (0.500, 0.500, 0.245)
O (0.500, 0.500, 0.755)
O (0.500, 0.763, 0.000)
O (0.500, 0.771, 0.500)
O (0.749, 0.251, 0.250)
O (0.749, 0.251, 0.750)
O (0.749, 0.749, 0.250)
O (0.749, 0.749, 0.750)
O (0.752, 0.000, 0.000)
O (0.753, 0.000, 0.500)
O (0.763, 0.500, 0.000)
O (0.771, 0.500, 0.500)

***

Compound: Mg14TiNbO16
Source: the Materials Project database
Functional: PBE
Structure: relaxed

Energy above the lowest structure with this stoichiometry, meV per atom: 8.0
Space group: P4/mmm (123)
Energy relative to the elements, eV/atom: -2.8399
Calculated total energy, eV per atom: -6.233

Cell: 8.644 8.644 4.276 Å, 90.00 90.00 90.00°
Sites, in units of the cell vectors:
Mg (0.000, 0.253, 0.000)
Mg (0.000, 0.500, 0.500)
Mg (0.000, 0.747, 0.000)
Mg (0.246, 0.500, 0.000)
Mg (0.249, 0.249, 0.500)
Mg (0.249, 0.751, 0.500)
Mg (0.253, 0.000, 0.000)
Mg (0.500, 0.000, 0.500)
Mg (0.500, 0.246, 0.000)
Mg (0.500, 0.754, 0.000)
Mg (0.747, 0.000, 0.000)
Mg (0.751, 0.249, 0.500)
Mg (0.751, 0.751, 0.500)
Mg (0.754, 0.500, 0.000)
Ti (0.000, 0.000, 0.500)
Nb (0.500, 0.500, 0.500)
O (0.000, 0.000, 0.000)
O (0.000, 0.255, 0.500)
O (0.000, 0.500, 0.000)
O (0.000, 0.745, 0.500)
O (0.238, 0.500, 0.500)
O (0.250, 0.250, 0.000)
O (0.250, 0.750, 0.000)
O (0.255, 0.000, 0.500)
O (0.500, 0.000, 0.000)
O (0.500, 0.238, 0.500)
O (0.500, 0.500, 0.000)
O (0.500, 0.762, 0.500)
O (0.745, 0.000, 0.500)
O (0.750, 0.250, 0.000)
O (0.750, 0.750, 0.000)
O (0.762, 0.500, 0.500)

***

Compound: MgTiNbO4
Source: the Materials Project database
Functional: PBE
Structure: relaxed

Energy above the lowest structure with this stoichiometry, meV per atom: 40.5
Space group: Imm2 (44)
Energy relative to the elements, eV/atom: -2.7859
Calculated total energy, eV per atom: -8.020

Cell: 5.740 5.740 5.740 Å, 141.31 136.60 59.53°
Sites, in units of the cell vectors:
Mg (0.000, 0.000, 0.000)
Ti (0.601, 0.601, 0.000)
Nb (0.288, 0.788, 0.500)
O (0.070, 0.570, 0.500)
O (0.356, 0.356, 0.000)
O (0.535, 0.035, 0.500)
O (0.800, 0.800, 0.000)

***

Compound: MgTiNbO4
Source: the Materials Project database
Functional: PBE
Structure: relaxed

Energy above the lowest structure with this stoichiometry, meV per atom: 0.0
Space group: Cm (8)
Energy relative to the elements, eV/atom: -2.8264
Calculated total energy, eV per atom: -8.061

Cell: 5.158 5.158 4.204 Å, 113.92 113.92 48.12°
Sites, in units of the cell vectors:
Mg (0.000, 0.000, 0.000)
Ti (0.250, 0.250, 0.748)
Nb (0.500, 0.500, 0.500)
O (0.242, 0.242, 0.240)
O (0.500, 0.500, 0.000)
O (0.758, 0.758, 0.756)
O (0.999, 0.999, 0.499)

***

Compound: MgTi3Nb3O12
Source: the Materials Project database
Functional: PBE
Structure: relaxed

Energy above the lowest structure with this stoichiometry, meV per atom: 16.6
Space group: P1 (1)
Energy relative to the elements, eV/atom: -3.0331
Calculated total energy, eV per atom: -8.650

Cell: 5.722 5.820 7.462 Å, 68.43 70.50 75.02°
Sites, in units of the cell vectors:
Mg (0.000, 0.000, 0.000)
Ti (0.000, 0.515, 0.506)
Ti (0.346, 0.862, 0.641)
Ti (0.355, 0.830, 0.195)
Nb (0.614, 0.194, 0.812)
Nb (0.655, 0.170, 0.348)
Nb (0.974, 0.498, 0.019)
O (0.063, 0.132, 0.184)
O (0.077, 0.641, 0.201)
O (0.236, 0.726, 0.481)
O (0.272, 0.218, 0.502)
O (0.353, 0.473, 0.838)
O (0.379, 0.947, 0.881)
O (0.607, 0.061, 0.121)
O (0.609, 0.555, 0.165)
O (0.704, 0.790, 0.520)
O (0.772, 0.298, 0.515)
O (0.900, 0.366, 0.818)
O (0.943, 0.861, 0.822)

***

Compound: Mg6TiNbO8
Source: the Materials Project database
Functional: PBE
Structure: relaxed

Energy above the lowest structure with this stoichiometry, meV per atom: 0.0
Space group: P4/mmm (123)
Energy relative to the elements, eV/atom: -2.7077
Calculated total energy, eV per atom: -6.563

Cell: 4.290 4.290 8.769 Å, 90.00 90.00 90.00°
Sites, in units of the cell vectors:
Mg (0.000, 0.000, 0.000)
Mg (0.000, 0.500, 0.244)
Mg (0.000, 0.500, 0.756)
Mg (0.500, 0.000, 0.244)
Mg (0.500, 0.000, 0.756)
Mg (0.500, 0.500, 0.000)
Ti (0.000, 0.000, 0.500)
Nb (0.500, 0.500, 0.500)
O (0.000, 0.000, 0.244)
O (0.000, 0.000, 0.756)
O (0.000, 0.500, 0.000)
O (0.000, 0.500, 0.500)
O (0.500, 0.000, 0.000)
O (0.500, 0.000, 0.500)
O (0.500, 0.500, 0.237)
O (0.500, 0.500, 0.763)

***

Compound: MgTi3Nb3O12
Source: the Materials Project database
Functional: PBE
Structure: relaxed

Energy above the lowest structure with this stoichiometry, meV per atom: 0.0
Space group: P1 (1)
Energy relative to the elements, eV/atom: -3.0497
Calculated total energy, eV per atom: -8.667

Cell: 5.665 5.887 7.456 Å, 69.04 71.44 77.16°
Sites, in units of the cell vectors:
Mg (0.000, 0.000, 0.000)
Ti (0.424, 0.781, 0.146)
Ti (0.643, 0.186, 0.792)
Ti (0.672, 0.152, 0.340)
Nb (0.017, 0.507, 0.492)
Nb (0.027, 0.521, 0.956)
Nb (0.323, 0.825, 0.648)
O (0.016, 0.173, 0.169)
O (0.102, 0.645, 0.166)
O (0.273, 0.754, 0.419)
O (0.306, 0.222, 0.476)
O (0.394, 0.952, 0.866)
O (0.399, 0.455, 0.812)
O (0.613, 0.033, 0.107)
O (0.648, 0.515, 0.138)
O (0.728, 0.807, 0.493)
O (0.765, 0.294, 0.505)
O (0.910, 0.353, 0.802)
O (0.938, 0.890, 0.797)

***

Compound: Mg6TiNbO8
Source: the Materials Project database
Functional: PBE
Structure: relaxed

Energy above the lowest structure with this stoichiometry, meV per atom: 75.8
Space group: P4/mmm (123)
Energy relative to the elements, eV/atom: -2.6319
Calculated total energy, eV per atom: -6.487

Cell: 4.335 4.335 8.682 Å, 90.00 90.00 90.00°
Sites, in units of the cell vectors:
Mg (0.000, 0.000, 0.000)
Mg (0.000, 0.000, 0.500)
Mg (0.000, 0.500, 0.249)
Mg (0.000, 0.500, 0.751)
Mg (0.500, 0.000, 0.249)
Mg (0.500, 0.000, 0.751)
Ti (0.500, 0.500, 0.000)
Nb (0.500, 0.500, 0.500)
O (0.000, 0.000, 0.250)
O (0.000, 0.000, 0.750)
O (0.000, 0.500, 0.000)
O (0.000, 0.500, 0.500)
O (0.500, 0.000, 0.000)
O (0.500, 0.000, 0.500)
O (0.500, 0.500, 0.240)
O (0.500, 0.500, 0.760)